# 1
Density functional theory data (PBE-GGA) for a geometry-optimized TbCBr structure.

abc: 4.0198 4.0198 10.5650
angles: 98.49 98.49 56.63
Fractional coordinates of all 6 atoms:
Tb 0.0933 0.0933 0.3601
Tb 0.9067 0.9067 0.6399
C 0.4124 0.4124 0.4650
C 0.5876 0.5876 0.5350
Br 0.2949 0.2949 0.8211
Br 0.7051 0.7051 0.1789

Results
- crystal system = monoclinic
- DFT formation energy (eV per atom) = -1.27

=====

# 2
Density functional theory data (PBE-GGA) for a geometry-optimized Tb5C2Br9 structure.

abc: 10.2390 16.6709 13.5827
angles: 90.00 121.70 90.00
Fractional coordinates of all 64 atoms:
Tb 0.0087 0.0550 0.2628
Tb 0.0087 0.4450 0.7628
Tb 0.0129 0.6623 0.7214
Tb 0.0129 0.8377 0.2214
Tb 0.1609 0.0399 0.0345
Tb 0.1609 0.4601 0.5345
Tb 0.2136 0.6856 0.5560
Tb 0.2136 0.8144 0.0560
Tb 0.3583 0.5582 0.8129
Tb 0.3583 0.9418 0.3129
Tb 0.6417 0.0582 0.6871
Tb 0.6417 0.4418 0.1871
Tb 0.7864 0.1856 0.9440
Tb 0.7864 0.3144 0.4440
Tb 0.8391 0.5399 0.4655
Tb 0.8391 0.9601 0.9655
Tb 0.9871 0.1623 0.7786
Tb 0.9871 0.3377 0.2786
Tb 0.9913 0.5550 0.2372
Tb 0.9913 0.9450 0.7372
C 0.0735 0.5310 0.6694
C 0.0735 0.9690 0.1694
C 0.1284 0.5880 0.6205
C 0.1284 0.9120 0.1205
C 0.8716 0.0880 0.8795
C 0.8716 0.4120 0.3795
C 0.9265 0.0310 0.8306
C 0.9265 0.4690 0.3306
Br 0.0788 0.1986 0.1702
Br 0.0788 0.3014 0.6702
Br 0.0888 0.0682 0.6545
Br 0.0888 0.4318 0.1545
Br 0.0982 0.6936 0.1417
Br 0.0982 0.8064 0.6417
Br 0.2797 0.1724 0.9680
Br 0.2797 0.3276 0.4680
Br 0.2965 0.5681 0.4416
Br 0.2965 0.9319 0.9416
Br 0.3025 0.6825 0.9376
Br 0.3025 0.8175 0.4376
Br 0.3187 0.0574 0.4586
Br 0.3187 0.4426 0.9586
Br 0.4635 0.0629 0.2354
Br 0.4635 0.4371 0.7354
Br 0.4960 0.1787 0.7472
Br 0.4960 0.3213 0.2472
Br 0.5040 0.6787 0.7528
Br 0.5040 0.8213 0.2528
Br 0.5365 0.5629 0.2646
Br 0.5365 0.9371 0.7646
Br 0.6813 0.5574 0.0414
Br 0.6813 0.9426 0.5414
Br 0.6975 0.1825 0.5624
Br 0.6975 0.3175 0.0624
Br 0.7035 0.0681 0.0584
Br 0.7035 0.4319 0.5584
Br 0.7203 0.6724 0.5320
Br 0.7203 0.8276 0.0320
Br 0.9018 0.1936 0.3583
Br 0.9018 0.3064 0.8583
Br 0.9112 0.5682 0.8455
Br 0.9112 0.9318 0.3455
Br 0.9212 0.6986 0.3298
Br 0.9212 0.8014 0.8298

Results
- crystal system = monoclinic
- DFT formation energy (eV per atom) = -1.90

=====

# 3
Density functional theory data (PBE-GGA) for a geometry-optimized Tb4C2Br3 structure.

abc: 10.8060 3.7120 20.4877
angles: 90.00 90.00 90.00
Fractional coordinates of all 36 atoms:
Tb 0.0975 0.2500 0.1716
Tb 0.1282 0.2500 0.3326
Tb 0.1367 0.2500 0.9212
Tb 0.1379 0.2500 0.7564
Tb 0.3621 0.7500 0.2564
Tb 0.3633 0.7500 0.4212
Tb 0.3718 0.7500 0.8326
Tb 0.4025 0.7500 0.6716
Tb 0.5975 0.2500 0.3284
Tb 0.6282 0.2500 0.1674
Tb 0.6367 0.2500 0.5788
Tb 0.6379 0.2500 0.7436
Tb 0.8621 0.7500 0.2436
Tb 0.8633 0.7500 0.0788
Tb 0.8718 0.7500 0.6674
Tb 0.9025 0.7500 0.8284
C 0.1118 0.7500 0.2502
C 0.1371 0.7500 0.8450
C 0.3629 0.2500 0.3450
C 0.3882 0.2500 0.7502
C 0.6118 0.7500 0.2498
C 0.6371 0.7500 0.6550
C 0.8629 0.2500 0.1550
C 0.8882 0.2500 0.7498
Br 0.1104 0.7500 0.4472
Br 0.1266 0.7500 0.0480
Br 0.1388 0.7500 0.6436
Br 0.3612 0.2500 0.1436
Br 0.3734 0.2500 0.5480
Br 0.3896 0.2500 0.9472
Br 0.6104 0.7500 0.0528
Br 0.6266 0.7500 0.4520
Br 0.6388 0.7500 0.8564
Br 0.8612 0.2500 0.3564
Br 0.8734 0.2500 0.9520
Br 0.8896 0.2500 0.5528

Results
- crystal system = orthorhombic
- DFT formation energy (eV per atom) = -1.34

=====

# 4
Density functional theory data (PBE-GGA) for a geometry-optimized Tb2CBr structure.

abc: 3.7015 3.7015 14.2644
angles: 90.00 90.00 120.00
Fractional coordinates of all 8 atoms:
Tb 0.3333 0.6667 0.0902
Tb 0.3333 0.6667 0.4098
Tb 0.6667 0.3333 0.5902
Tb 0.6667 0.3333 0.9098
C 0.0000 0.0000 0.0000
C 0.0000 0.0000 0.5000
Br 0.3333 0.6667 0.7500
Br 0.6667 0.3333 0.2500

Results
- crystal system = hexagonal
- DFT formation energy (eV per atom) = -1.11

=====

Number 1: total energy after the MP2020 corrections -6.433 eV per atom, E -6.255 eV/atom. Number 2: total energy after the MP2020 corrections -5.424 eV per atom, E -5.123 eV/atom. Number 3: total energy after the MP2020 corrections -5.991 eV per atom, E -5.813 eV/atom. Number 4: total energy after the MP2020 corrections -6.141 eV per atom, E -6.007 eV/atom.